Entry 1:
# PBE with a Hubbard U Ba2Mn3AlO7, relaxed
# corrected total energy (MP2020 scheme): -7.63 eV/atom
# electronic total energy: -6.879 eV/atom
# volume: 13.79 A^3/atom
# DFT formation energy: -2.272 eV per atom
# size of the total moment: 13.2 Bohr magnetons per cell
data_Ba2Mn3AlO7
_cell_length_a 3.821
_cell_length_b 4.005
_cell_length_c 11.716
_cell_angle_alpha 90.00
_cell_angle_beta 90.00
_cell_angle_gamma 90.00
_space_group_name_H-M_alt 'P m m m'
_space_group_IT_number 47
_space_group_name_Hall '-P 2 2'
loop_
_atom_site_label
_atom_site_type_symbol
_atom_site_fract_x
_atom_site_fract_y
_atom_site_fract_z
Ba1 Ba 0.000 0.000 0.183
Mn1 Mn 0.500 0.500 0.000
Mn2 Mn 0.500 0.500 0.355
Al1 Al 0.000 0.000 0.500
O1 O 0.000 0.500 0.393
O2 O 0.500 0.000 0.000
O3 O 0.500 0.000 0.393
O4 O 0.500 0.500 0.171



Entry 2:
# PBE with a Hubbard U BaSrMn2Al9PbO20, relaxed
# corrected total energy (MP2020 scheme): -7.76 eV/atom
# electronic total energy: -7.253 eV/atom
# volume: 12.69 A^3/atom
# DFT formation energy: -3.099 eV per atom
data_BaSrMn2Al9PbO20
_cell_length_a 5.032
_cell_length_b 9.716
_cell_length_c 9.743
_cell_angle_alpha 72.62
_cell_angle_beta 75.46
_cell_angle_gamma 75.20
_space_group_name_H-M_alt 'P 1'
_space_group_IT_number 1
_space_group_name_Hall 'P 1'
loop_
_atom_site_label
_atom_site_type_symbol
_atom_site_fract_x
_atom_site_fract_y
_atom_site_fract_z
Ba1 Ba 0.000 0.000 0.000
Sr1 Sr 0.261 0.720 0.726
Mn1 Mn 0.006 0.502 0.495
Mn2 Mn 0.503 0.362 0.635
Al1 Al 0.104 0.574 0.152
Al2 Al 0.117 0.143 0.576
Al3 Al 0.364 0.283 0.016
Al4 Al 0.376 0.005 0.288
Al5 Al 0.506 0.636 0.361
Al6 Al 0.635 0.708 0.991
Al7 Al 0.646 0.981 0.713
Al8 Al 0.891 0.422 0.852
Al9 Al 0.905 0.843 0.425
Pb1 Pb 0.780 0.274 0.278
O1 O 0.141 0.397 0.127
O2 O 0.151 0.117 0.401
O3 O 0.246 0.307 0.551
O4 O 0.250 0.334 0.844
O5 O 0.250 0.554 0.308
O6 O 0.268 0.571 0.558
O7 O 0.272 0.829 0.338
O8 O 0.283 0.696 0.006
O9 O 0.295 0.998 0.700
O10 O 0.332 0.100 0.108
O11 O 0.677 0.890 0.895
O12 O 0.715 0.294 0.990
O13 O 0.729 0.982 0.297
O14 O 0.737 0.663 0.167
O15 O 0.753 0.441 0.419
O16 O 0.755 0.156 0.663
O17 O 0.756 0.688 0.447
O18 O 0.758 0.450 0.687
O19 O 0.851 0.597 0.878
O20 O 0.862 0.870 0.600



Entry 3:
# PBE with a Hubbard U Ba2AlNi3O8, relaxed
# corrected total energy (MP2020 scheme): -6.37 eV/atom
# electronic total energy: -5.434 eV/atom
# volume: 12.23 A^3/atom
# DFT formation energy: -1.763 eV per atom
# size of the total moment: 3.0 Bohr magnetons per cell
data_Ba2AlNi3O8
_cell_length_a 3.795
_cell_length_b 3.795
_cell_length_c 11.886
_cell_angle_alpha 90.00
_cell_angle_beta 90.00
_cell_angle_gamma 90.00
_space_group_name_H-M_alt 'P 4/m m m'
_space_group_IT_number 123
_space_group_name_Hall '-P 4 2'
loop_
_atom_site_label
_atom_site_type_symbol
_atom_site_fract_x
_atom_site_fract_y
_atom_site_fract_z
Ba1 Ba 0.000 0.000 0.174
Al1 Al 0.000 0.000 0.500
Ni1 Ni 0.500 0.500 0.000
Ni2 Ni 0.500 0.500 0.357
O1 O 0.000 0.500 0.000
O2 O 0.000 0.500 0.399
O3 O 0.500 0.500 0.192



Entry 4:
# PBE with a Hubbard U Ba2AlTlNi2O7, relaxed
# corrected total energy (MP2020 scheme): -6.13 eV/atom
# electronic total energy: -5.364 eV/atom
# volume: 13.68 A^3/atom
# DFT formation energy: -1.807 eV per atom
# size of the total moment: 0.0 Bohr magnetons per cell
data_Ba2AlTlNi2O7
_cell_length_a 3.684
_cell_length_b 3.684
_cell_length_c 13.109
_cell_angle_alpha 90.00
_cell_angle_beta 90.00
_cell_angle_gamma 90.00
_space_group_name_H-M_alt 'P 4/m m m'
_space_group_IT_number 123
_space_group_name_Hall '-P 4 2'
loop_
_atom_site_label
_atom_site_type_symbol
_atom_site_fract_x
_atom_site_fract_y
_atom_site_fract_z
Ba1 Ba 0.000 0.000 0.214
Al1 Al 0.000 0.000 0.500
Tl1 Tl 0.500 0.500 0.000
Ni1 Ni 0.500 0.500 0.386
O1 O 0.000 0.000 0.000
O2 O 0.000 0.500 0.405
O3 O 0.500 0.500 0.162



- Look up the electronic total energy of the second one.
  -7.253 eV/atom